Material: Na3CaSc3ZnSi8O24
Method: DFT, PBE
State: relaxed

Cell: 18.6772 5.5651 10.2412 Å, 79.15 90.00 90.00°
Sites, in units of the cell vectors:
Na: 0.7642 0.5000 0.7500
Na: 0.2358 0.5000 0.2500
Na: 0.7326 0.5000 0.2500
Na: 0.5168 0.0000 0.2500
Na: 0.2674 0.5000 0.7500
Na: 0.4832 0.0000 0.7500
Si: 0.3882 0.7735 0.0097
Si: 0.6370 0.7262 0.9900
Si: 0.8623 0.2787 0.0113
Si: 0.3630 0.2738 0.0100
Si: 0.1147 0.7779 0.5177
Si: 0.6370 0.2738 0.5100
Si: 0.1377 0.2787 0.5113
Si: 0.1377 0.7213 0.9887
Si: 0.8853 0.7779 0.0176
Si: 0.3630 0.7262 0.4900
Si: 0.3882 0.2265 0.4903
Si: 0.6118 0.2265 0.9903
Si: 0.8853 0.2221 0.4824
Si: 0.1147 0.2221 0.9824
Si: 0.6118 0.7735 0.5097
Si: 0.8623 0.7213 0.4887
O: 0.6220 0.9452 0.0820
O: 0.2158 0.2350 0.5807
O: 0.5344 0.7251 0.5830
O: 0.9158 0.7819 0.3582
O: 0.6274 0.4451 0.0821
O: 0.6655 0.2823 0.8599
O: 0.4174 0.2184 0.1395
O: 0.0369 0.7456 0.5926
O: 0.7141 0.7747 0.9151
O: 0.0842 0.2181 0.6418
O: 0.1202 0.0596 0.4188
O: 0.7842 0.7650 0.4193
O: 0.6220 0.0548 0.4180
O: 0.6274 0.5549 0.4179
O: 0.7141 0.2253 0.5849
O: 0.4174 0.7816 0.3605
O: 0.8750 0.5610 0.9224
O: 0.1250 0.4390 0.0776
O: 0.3780 0.9452 0.5820
O: 0.6655 0.7177 0.6401
O: 0.5826 0.7816 0.8605
O: 0.3345 0.7177 0.1401
O: 0.1741 0.2663 0.8646
O: 0.8750 0.4390 0.5776
O: 0.9631 0.7456 0.0926
O: 0.8798 0.0596 0.9188
O: 0.8259 0.7337 0.1354
O: 0.4656 0.7251 0.0830
O: 0.9631 0.2544 0.4074
O: 0.3780 0.0548 0.9180
O: 0.2859 0.2253 0.0849
O: 0.0842 0.7819 0.8582
O: 0.2859 0.7747 0.4151
O: 0.8259 0.2663 0.3646
O: 0.7842 0.2350 0.0807
O: 0.9158 0.2181 0.1418
O: 0.3726 0.5549 0.9179
O: 0.4656 0.2749 0.4170
O: 0.8798 0.9404 0.5812
O: 0.2158 0.7650 0.9193
O: 0.3726 0.4451 0.5821
O: 0.1202 0.9404 0.0812
O: 0.0369 0.2544 0.9074
O: 0.5826 0.2184 0.6395
O: 0.5344 0.2749 0.9170
O: 0.1741 0.7337 0.6354
O: 0.3345 0.2823 0.3599
O: 0.1250 0.5610 0.4224
Zn: 0.9241 0.5000 0.2500
Zn: 0.0759 0.5000 0.7500
Sc: 0.8195 0.0000 0.2500
Sc: 0.3260 0.0000 0.2500
Sc: 0.1805 0.0000 0.7500
Sc: 0.5738 0.5000 0.7500
Sc: 0.4262 0.5000 0.2500
Sc: 0.6740 0.0000 0.7500
Ca: 0.0079 0.0000 0.2500
Ca: 0.9921 0.0000 0.7500

Computed properties:
* symmetry: P2/c
* excess energy over the best structure of this formula in the dataset: 0.220 eV per atom

***

Material: NbSe2
Method: DFT, PBE
State: relaxed

Cell: 3.4932 3.4932 28.2153 Å, 90.00 90.00 120.00°
Sites, in units of the cell vectors:
Se: 0.3333 0.6667 0.0597
Se: 0.6667 0.3333 0.8094
Se: 0.6667 0.3333 0.1906
Se: 0.6667 0.3333 0.6899
Se: 0.0000 0.0000 0.5597
Se: 0.6667 0.3333 0.3101
Se: 0.0000 0.0000 0.4403
Se: 0.3333 0.6667 0.9403
Nb: 0.3333 0.6667 0.5000
Nb: 0.0000 0.0000 0.0000
Nb: 0.0000 0.0000 0.2503
Nb: 0.0000 0.0000 0.7497

Computed properties:
* symmetry: P-6m2

***

Material: SrAsO4
Method: DFT, PBE
State: relaxed

Cell: 9.0907 11.7750 15.4556 Å, 106.33 105.03 88.64°
Sites, in units of the cell vectors:
O: 0.7734 0.7331 0.8062
O: 0.6779 0.0515 0.1615
O: 0.5321 0.1105 0.7811
O: 0.6059 0.7773 0.3588
O: 0.8975 0.7385 0.6567
O: 0.3578 0.8935 0.0125
O: 0.7594 0.9645 0.3472
O: 0.7305 0.8857 0.0008
O: 0.9724 0.3856 0.2098
O: 0.1150 0.6496 0.5149
O: 0.8850 0.3504 0.4851
O: 0.7814 0.3622 0.2815
O: 0.4919 0.2857 0.1513
O: 0.4845 0.6373 0.5041
O: 0.2695 0.1143 0.9992
O: 0.4645 0.5054 0.6945
O: 0.1025 0.2615 0.3433
O: 0.2792 0.8653 0.2905
O: 0.0206 0.8664 0.4990
O: 0.7208 0.1347 0.7095
O: 0.3941 0.2227 0.6412
O: 0.8677 0.4002 0.0114
O: 0.2880 0.2441 0.8071
O: 0.5769 0.4031 0.9062
O: 0.5155 0.3627 0.4959
O: 0.7503 0.5307 0.6456
O: 0.2266 0.2669 0.1938
O: 0.6104 0.1436 0.5080
O: 0.7120 0.7559 0.1929
O: 0.9794 0.1336 0.5010
O: 0.6770 0.8491 0.6002
O: 0.2406 0.0355 0.6528
O: 0.9740 0.0156 0.6920
O: 0.8527 0.0112 0.8437
O: 0.4231 0.5969 0.0938
O: 0.7678 0.6155 0.9958
O: 0.5081 0.7143 0.8487
O: 0.3896 0.8564 0.4920
O: 0.2186 0.6378 0.7185
O: 0.1323 0.5998 0.9886
O: 0.8272 0.6557 0.4105
O: 0.4287 0.8003 0.6649
O: 0.0260 0.9844 0.3080
O: 0.5713 0.1997 0.3351
O: 0.6422 0.1065 0.9875
O: 0.1473 0.9888 0.1563
O: 0.4679 0.8895 0.2189
O: 0.1827 0.5515 0.1663
O: 0.0004 0.7823 0.1472
O: 0.0734 0.9041 0.9054
O: 0.2322 0.3845 0.0042
O: 0.0276 0.6144 0.7902
O: 0.3549 0.5249 0.8583
O: 0.5355 0.4946 0.3055
O: 0.6451 0.4751 0.1417
O: 0.9313 0.3010 0.6626
O: 0.8173 0.4485 0.8337
O: 0.9266 0.0959 0.0946
O: 0.9996 0.2177 0.8528
O: 0.0687 0.6990 0.3374
O: 0.3221 0.9485 0.8385
O: 0.2497 0.4693 0.3544
O: 0.1728 0.3443 0.5895
O: 0.3230 0.1509 0.3998
As: 0.3600 0.1562 0.7213
As: 0.2403 0.5316 0.0664
As: 0.2586 0.9674 0.9361
As: 0.6096 0.4068 0.2205
As: 0.1082 0.9034 0.2231
As: 0.3904 0.5932 0.7795
As: 0.7414 0.0326 0.0639
As: 0.8918 0.0966 0.7769
As: 0.9894 0.2805 0.5630
As: 0.6400 0.8438 0.2787
As: 0.5073 0.2163 0.4322
As: 0.0106 0.7195 0.4370
As: 0.1431 0.3482 0.2779
As: 0.8569 0.6518 0.7221
As: 0.4927 0.7837 0.5678
As: 0.7597 0.4684 0.9336
Sr: 0.5417 0.7337 0.0250
Sr: 0.9569 0.7618 0.9722
Sr: 0.7051 0.5110 0.4712
Sr: 0.2949 0.4890 0.5288
Sr: 0.3476 0.6607 0.3301
Sr: 0.0431 0.2382 0.0278
Sr: 0.2095 0.0166 0.4757
Sr: 0.8460 0.1582 0.3247
Sr: 0.9043 0.5920 0.1719
Sr: 0.7905 0.9834 0.5243
Sr: 0.4583 0.2663 0.9750
Sr: 0.6524 0.3393 0.6699
Sr: 0.5967 0.9085 0.8263
Sr: 0.1540 0.8418 0.6753
Sr: 0.4033 0.0915 0.1737
Sr: 0.0957 0.4080 0.8281

Computed properties:
* symmetry: P-1

***

Material: Te4Mo3WSe2S2
Method: DFT, PBE
State: relaxed

Cell: 3.4020 3.4020 38.7151 Å, 90.00 90.00 120.00°
Sites, in units of the cell vectors:
Mo: 0.6667 0.3333 0.2818
Mo: 0.3333 0.6667 0.4697
Mo: 0.3333 0.6667 0.0939
Te: 0.3333 0.6667 0.7062
Te: 0.3333 0.6667 0.3301
Te: 0.3333 0.6667 0.2334
Te: 0.3333 0.6667 0.6089
W: 0.6667 0.3333 0.6575
Se: 0.6667 0.3333 0.5122
Se: 0.6667 0.3333 0.4271
S: 0.6667 0.3333 0.0551
S: 0.6667 0.3333 0.1328

Computed properties:
* symmetry: P3m1
* excess energy over the best structure of this formula in the dataset: 0.036 eV per atom

***

Material: P4Se3I2
Method: DFT, PBE
State: relaxed

Cell: 12.3889 12.3889 12.3889 Å, 117.68 117.68 94.06°
Sites, in units of the cell vectors:
P: 0.7739 0.9085 0.1291
P: 0.0915 0.2206 0.8654
P: 0.3552 0.2261 0.1346
P: 0.2374 0.0143 0.9713
P: 0.7070 0.2357 0.7231
P: 0.7794 0.6448 0.8709
P: 0.6585 0.0239 0.6291
P: 0.9857 0.9570 0.2231
P: 0.9761 0.6052 0.6346
P: 0.0430 0.2661 0.0287
P: 0.7643 0.4874 0.4713
P: 0.5126 0.9839 0.2769
P: 0.7339 0.7626 0.7769
P: 0.3948 0.0294 0.3709
P: 0.0161 0.2930 0.5287
P: 0.9706 0.3415 0.3654
Se: 0.6996 0.9916 0.4563
Se: 0.5353 0.2433 0.5437
Se: 0.3122 0.3122 0.0000
Se: 0.7416 0.9496 0.9563
Se: 0.2147 0.2584 0.2080
Se: 0.6878 0.6878 0.0000
Se: 0.0504 0.0067 0.7920
Se: 0.0084 0.4647 0.7080
Se: 0.7567 0.3004 0.2920
Se: 0.4378 0.9378 0.5000
Se: 0.9933 0.7853 0.0437
Se: 0.0622 0.5622 0.5000
I: 0.3834 0.7442 0.0869
I: 0.4942 0.6334 0.5869
I: 0.2558 0.3427 0.6391
I: 0.7035 0.6166 0.3609
I: 0.0465 0.9073 0.4131
I: 0.0927 0.5058 0.1391
I: 0.6573 0.2965 0.9131
I: 0.3666 0.9535 0.8609

Computed properties:
* symmetry: I-42d
* excess energy over the best structure of this formula in the dataset: 0.000 eV per atom

***

Material: YSiNi4
Method: DFT, PBE
State: relaxed

Cell: 3.9436 4.8429 4.8429 Å, 116.39 90.00 90.00°
Sites, in units of the cell vectors:
Ni: 0.5000 0.0000 0.5000
Ni: 0.5000 0.5000 0.0000
Ni: 0.0000 0.3413 0.6587
Ni: 0.0000 0.6587 0.3413
Y: 0.0000 0.0000 0.0000
Si: 0.5000 0.5000 0.5000

Computed properties:
* symmetry: Cmmm

***

Material: SbH3
Method: DFT, PBE
State: relaxed

Cell: 3.9122 3.9122 3.9122 Å, 128.54 128.54 75.75°
Sites, in units of the cell vectors:
H: 0.7500 0.2500 0.5000
H: 0.5000 0.5000 0.0000
H: 0.2500 0.7500 0.5000
Sb: 0.0000 0.0000 0.0000

Computed properties:
* symmetry: I4/mmm

***

Material: CsTiZnOF5
Method: DFT, PBE
State: relaxed

Cell: 7.4933 7.4933 7.4933 Å, 121.69 120.35 88.25°
Sites, in units of the cell vectors:
O: 0.5398 0.2898 0.2500
O: 0.4602 0.7102 0.7500
Zn: 0.0000 0.0000 0.0000
Zn: 0.5000 0.0000 0.5000
F: 0.4368 0.6659 0.3532
F: 0.8127 0.0836 0.1468
F: 0.5632 0.9164 0.2292
F: 0.1873 0.9164 0.8532
F: 0.8208 0.0708 0.7500
F: 0.1792 0.9292 0.2500
F: 0.8127 0.6659 0.7292
F: 0.5632 0.3341 0.6468
F: 0.4368 0.0836 0.7708
F: 0.1873 0.3341 0.2708
Cs: 0.8738 0.6238 0.2500
Cs: 0.1262 0.3762 0.7500
Ti: 0.5000 0.0000 0.0000
Ti: 0.5000 0.5000 0.5000

Computed properties:
* symmetry: Imma

***

In the order shown, the computed formation energy from the elements values come out to -3.027, -1.156, -2.157, -0.501, -0.166, -0.604, 0.680, -3.206 eV/atom.
In the order shown, the computed total DFT energy (no corrections) values come out to -7.325, -6.539, -6.055, -6.528, -3.992, -6.439, -2.762, -5.604 eV/atom.